# 1
NaCaSc3S6O24: optimized geometry, PBE.

The energy of formation from the pure elements comes out at -246.00 kJ/mol of atoms.

a = 8.8980 Å, b = 8.8980 Å, c = 23.3860 Å
α = 90.00°, β = 90.00°, γ = 120.00°
Fractional coordinates of all 105 atoms:
Sc 0.6667 0.3333 0.6814
S 0.9553 0.3306 0.5830
S 0.7032 0.0043 0.7476
O 0.0214 0.8143 0.6980
Sc 0.6667 0.3333 0.4822
O 0.1483 0.4792 0.8639
O 0.7121 0.1404 0.0328
O 0.7035 0.5449 0.5323
O 0.2352 0.0444 0.3010
Sc 0.0000 0.0000 0.1544
Sc 0.3333 0.6667 0.8097
Na 0.0000 0.0000 0.9972
S 0.3613 0.3274 0.0846
O 0.0266 0.8049 0.4148
Ca 0.0000 0.0000 0.8515
Na 0.6667 0.3333 0.8361
O 0.5208 0.6691 0.8639
S 0.9955 0.2989 0.2499
O 0.9720 0.1757 0.5929
O 0.5151 0.6431 0.5742
O 0.8767 0.3665 0.6333
O 0.2353 0.1910 0.7995
O 0.9557 0.7647 0.7995
O 0.8414 0.2965 0.5323
O 0.3364 0.4821 0.4700
O 0.1538 0.6847 0.7541
O 0.4283 0.2879 0.0328
O 0.6729 0.5185 0.2389
S 0.3492 0.3926 0.4183
O 0.3153 0.4691 0.7541
O 0.1457 0.6636 0.4700
O 0.7929 0.9786 0.6980
O 0.1892 0.9774 0.1997
O 0.8765 0.5222 0.1340
O 0.5309 0.8462 0.7541
O 0.8243 0.7964 0.5929
O 0.5143 0.8622 0.0782
Na 0.6667 0.3333 0.3334
S 0.3035 0.0045 0.2499
S 0.9661 0.6387 0.0846
O 0.3569 0.8720 0.5742
O 0.0401 0.2139 0.9185
O 0.4551 0.1586 0.5323
O 0.5025 0.8747 0.3659
O 0.9932 0.8157 0.0956
S 0.3011 0.2968 0.7476
O 0.0226 0.2118 0.1997
O 0.1739 0.9599 0.9185
O 0.4925 0.1194 0.9145
O 0.6757 0.1545 0.7374
O 0.1857 0.2071 0.6980
O 0.5110 0.3795 0.4229
O 0.7861 0.8261 0.9185
O 0.7783 0.9734 0.4148
S 0.6134 0.6668 0.9165
Ca 0.6667 0.3333 0.9816
O 0.5294 0.6837 0.2570
S 0.6074 0.9566 0.4183
O 0.1456 0.4813 0.9692
O 0.3357 0.8544 0.9692
S 0.0434 0.6508 0.4183
O 0.9556 0.1908 0.3010
O 0.6335 0.5102 0.6333
S 0.0534 0.3866 0.9165
O 0.1843 0.1775 0.0956
S 0.9957 0.6989 0.7476
O 0.8685 0.4890 0.4229
O 0.4789 0.3243 0.7374
S 0.6694 0.6248 0.5830
O 0.8455 0.5211 0.7374
O 0.4778 0.3543 0.1340
O 0.1280 0.4849 0.5742
S 0.7011 0.6965 0.2499
Ca 0.0000 0.0000 0.3569
O 0.1378 0.6521 0.0782
O 0.7882 0.8108 0.1997
O 0.6457 0.1235 0.1340
O 0.4898 0.1233 0.6333
O 0.5187 0.6643 0.9692
S 0.6726 0.0339 0.0846
O 0.1543 0.4706 0.2570
O 0.8806 0.3732 0.9145
Sc 0.0000 0.0000 0.6479
O 0.8090 0.0443 0.7995
O 0.8596 0.5717 0.0328
Sc 0.6667 0.3333 0.1801
Sc 0.3333 0.6667 0.0231
S 0.3752 0.0447 0.5830
O 0.5179 0.8543 0.4700
O 0.8225 0.0068 0.0956
Sc 0.3333 0.6667 0.3126
O 0.3479 0.4857 0.0782
O 0.1951 0.2217 0.4148
O 0.6268 0.5075 0.9145
O 0.3722 0.4975 0.3659
O 0.2036 0.0280 0.5929
O 0.1253 0.6278 0.3659
S 0.3332 0.9466 0.9165
O 0.4815 0.1544 0.2389
O 0.6205 0.1315 0.4229
Sc 0.3333 0.6667 0.5228
O 0.8092 0.7648 0.3010
O 0.8456 0.3271 0.2389
O 0.3163 0.8457 0.2570
O 0.3309 0.8517 0.8639

***

# 2
NaCaScS3O12: optimized geometry, PBE.

The energy of formation from the pure elements comes out at -242.29 kJ/mol of atoms.

a = 8.9724 Å, b = 8.9724 Å, c = 23.8416 Å
α = 90.00°, β = 90.00°, γ = 120.00°
Fractional coordinates of all 108 atoms:
O 0.6937 0.1498 0.0326
S 0.6241 0.6577 0.9170
O 0.5270 0.6971 0.2551
O 0.2119 0.1998 0.8008
O 0.1227 0.6396 0.3660
O 0.3212 0.4547 0.4674
O 0.5262 0.8685 0.0775
Sc 0.3333 0.6667 0.3172
O 0.0090 0.2019 0.9108
O 0.0270 0.8165 0.6993
S 0.7002 0.9910 0.7503
Na 0.6667 0.3333 0.3325
O 0.6937 0.5439 0.5326
S 0.2908 0.2998 0.7503
O 0.8367 0.0304 0.0885
O 0.7981 0.8071 0.9108
O 0.1227 0.4831 0.8660
O 0.9879 0.7881 0.8008
O 0.1835 0.9730 0.1993
O 0.3604 0.4831 0.3660
Sc 0.6667 0.3333 0.9839
O 0.8002 0.7881 0.3008
S 0.2908 0.9910 0.2503
Ca 0.3333 0.6667 0.0180
O 0.7981 0.9910 0.4108
O 0.4668 0.1214 0.6341
O 0.1701 0.6971 0.7551
O 0.1929 0.2019 0.4108
O 0.1315 0.4738 0.5775
S 0.3423 0.3759 0.4170
S 0.0090 0.7092 0.7503
S 0.9575 0.3244 0.5836
Na 0.6667 0.3333 0.8325
O 0.1835 0.2106 0.6993
O 0.5453 0.8665 0.4674
O 0.8367 0.8063 0.5885
O 0.5169 0.6396 0.8660
Sc 0.0000 0.0000 0.6505
S 0.9575 0.6331 0.0836
O 0.2119 0.0121 0.3008
O 0.9696 0.8063 0.0885
S 0.3423 0.9664 0.9170
O 0.8786 0.5332 0.1341
O 0.6362 0.4966 0.9218
S 0.0336 0.6577 0.4170
Na 0.3333 0.6667 0.6658
O 0.6757 0.5352 0.2441
Sc 0.3333 0.6667 0.8172
O 0.3212 0.8665 0.9674
Na 0.0000 0.0000 0.4991
O 0.1335 0.4547 0.9674
O 0.1335 0.6788 0.4674
O 0.8596 0.5352 0.7441
S 0.6756 0.0425 0.0836
O 0.5169 0.8773 0.3660
O 0.7894 0.8165 0.1993
S 0.6241 0.9664 0.4170
Ca 0.0000 0.0000 0.3513
S 0.3669 0.3244 0.0836
Na 0.3333 0.6667 0.1658
O 0.7894 0.9730 0.6993
Ca 0.3333 0.6667 0.5180
S 0.6756 0.6331 0.5836
O 0.3029 0.4730 0.7551
O 0.5034 0.3638 0.4218
O 0.3423 0.4738 0.0775
Ca 0.6667 0.3333 0.6847
O 0.8786 0.3454 0.6341
O 0.8502 0.5439 0.0326
O 0.8002 0.0121 0.8008
S 0.3669 0.0425 0.5836
Sc 0.6667 0.3333 0.4839
O 0.6362 0.1397 0.4218
O 0.4561 0.3063 0.0326
S 0.0090 0.2998 0.2503
O 0.3029 0.8299 0.2551
S 0.7002 0.7092 0.2503
S 0.0336 0.3759 0.9170
O 0.1937 0.0304 0.5885
O 0.1701 0.4730 0.2551
O 0.9696 0.1633 0.5885
O 0.6757 0.1404 0.7441
Sc 0.0000 0.0000 0.1505
O 0.5034 0.1397 0.9218
O 0.0090 0.8071 0.4108
O 0.3604 0.8773 0.8660
O 0.6546 0.1214 0.1341
O 0.4648 0.3243 0.7441
O 0.1929 0.9910 0.9108
O 0.8603 0.4966 0.4218
O 0.4668 0.3454 0.1341
Ca 0.0000 0.0000 0.8513
O 0.5453 0.6788 0.9674
O 0.1315 0.6577 0.0775
O 0.3423 0.8685 0.5775
O 0.8502 0.3063 0.5326
O 0.8603 0.3638 0.9218
Na 0.0000 0.0000 0.9991
O 0.4648 0.1404 0.2441
Ca 0.6667 0.3333 0.1847
O 0.9879 0.1998 0.3008
O 0.8596 0.3243 0.2441
O 0.1937 0.1633 0.0885
O 0.6546 0.5332 0.6341
O 0.5262 0.6577 0.5775
O 0.0270 0.2106 0.1993
O 0.4561 0.1498 0.5326
O 0.5270 0.8299 0.7551

***

# 3
Na8Ca2Sc2Si3S3O24: optimized geometry, PBE.

The energy of formation from the pure elements comes out at -258.90 kJ/mol of atoms.

a = 9.4069 Å, b = 9.3700 Å, c = 22.8854 Å
α = 91.27°, β = 90.00°, γ = 119.95°
Fractional coordinates of all 126 atoms:
O 0.2300 0.2019 0.8122
O 0.0290 0.2049 0.1910
O 0.4611 0.1090 0.6357
O 0.8628 0.5355 0.7458
S 0.0320 0.6611 0.4156
S 0.6966 0.7044 0.2487
O 0.3627 0.8747 0.8630
Na 0.3412 0.6474 0.6607
O 0.6405 0.5039 0.9212
Si 0.6758 0.6373 0.5841
O 0.3030 0.4864 0.7585
O 0.8528 0.8165 0.5877
O 0.8674 0.5071 0.4172
Na 0.9480 0.2770 0.4157
Na 0.9691 0.9943 0.5065
Na 0.2809 0.9444 0.0803
O 0.8432 0.5376 0.0255
O 0.8158 0.9916 0.4149
Na 0.6830 0.6981 0.0822
Si 0.6955 0.9975 0.7535
O 0.3511 0.4784 0.0763
O 0.1179 0.6425 0.3627
S 0.0067 0.7026 0.7515
O 0.2024 0.1780 0.0836
O 0.6439 0.1078 0.1347
O 0.1735 0.9928 0.9165
O 0.1766 0.2046 0.6962
S 0.3399 0.3713 0.4145
Na 0.3066 0.3534 0.5929
Na 0.6639 0.3045 0.3318
O 0.0286 0.8066 0.7004
Na 0.6704 0.9566 0.5789
S 0.6291 0.6591 0.9185
S 0.3681 0.3303 0.0818
O 0.1841 0.4843 0.2546
Si 0.0078 0.3042 0.2503
O 0.6424 0.5284 0.6413
O 0.6695 0.5362 0.2411
O 0.7929 0.9733 0.6970
S 0.3626 0.0373 0.5821
Na 0.6838 0.0272 0.8999
O 0.4507 0.1424 0.5304
Na 0.9903 0.3435 0.7378
Si 0.9705 0.3334 0.5851
O 0.5341 0.6959 0.2528
O 0.1294 0.6832 0.4687
O 0.4552 0.3102 0.0301
O 0.8618 0.3565 0.9244
O 0.4944 0.3619 0.4182
O 0.9756 0.8240 0.0863
Ca 0.3412 0.6684 0.5166
Na 0.6442 0.0253 0.2606
O 0.8297 0.0311 0.0849
O 0.1591 0.6886 0.7563
O 0.4636 0.3520 0.1361
O 0.8535 0.3379 0.2463
O 0.7970 0.7776 0.3020
O 0.9998 0.1969 0.9137
O 0.4862 0.3374 0.7479
S 0.0274 0.3665 0.9184
O 0.6877 0.1400 0.0298
Si 0.3023 0.9973 0.2522
O 0.5559 0.6802 0.9732
O 0.1269 0.4409 0.9724
O 0.4836 0.1595 0.2461
O 0.6929 0.5350 0.5249
O 0.2006 0.0288 0.5855
O 0.5098 0.1596 0.9243
Sc 0.9858 0.0150 0.6504
O 0.6425 0.1565 0.4192
Na 0.0047 0.6232 0.2427
O 0.6724 0.1575 0.7488
Na 0.6425 0.3095 0.8203
O 0.1522 0.4952 0.5790
O 0.1967 0.2022 0.4106
Si 0.6321 0.9717 0.4173
O 0.2220 0.0193 0.3111
Na 0.3830 0.0291 0.7521
Na 0.6930 0.6849 0.4300
O 0.9728 0.1930 0.3070
O 0.8797 0.5326 0.1410
O 0.3171 0.4487 0.4676
Sc 0.6762 0.3279 0.4895
Si 0.3373 0.9728 0.9201
O 0.3368 0.8689 0.5746
S 0.6737 0.0359 0.0807
O 0.8928 0.3597 0.6440
O 0.5350 0.8652 0.0746
Na 0.0127 0.6750 0.5868
Sc 0.6685 0.3355 0.9828
Ca 0.6678 0.3341 0.6811
O 0.9807 0.1608 0.5860
Na 0.3454 0.0347 0.4090
O 0.1478 0.6579 0.0814
Sc 0.3323 0.6822 0.3140
Sc 0.3474 0.6852 0.8102
O 0.5238 0.6394 0.8673
O 0.5107 0.8247 0.7529
O 0.8484 0.3051 0.5267
Ca 0.0049 0.0072 0.8449
Ca 0.0000 0.0050 0.3480
Na 0.3004 0.6599 0.1727
Na 0.6226 0.6239 0.7343
O 0.1809 0.9686 0.1936
O 0.5206 0.6702 0.5802
Na 0.0282 0.3514 0.0944
O 0.7821 0.8093 0.1968
Na 0.3263 0.2773 0.9026
O 0.1079 0.4690 0.8675
O 0.5132 0.8725 0.3581
O 0.7905 0.0155 0.8144
Sc 0.0119 0.9968 0.1563
Si 0.2997 0.3062 0.7531
Si 0.9640 0.6383 0.0838
O 0.9852 0.7761 0.8064
Ca 0.6728 0.3328 0.1834
Na 0.9939 0.6909 0.9181
O 0.7969 0.8037 0.9144
Na 0.0163 0.9855 0.9977
O 0.3148 0.8726 0.9794
O 0.3537 0.4707 0.3620
O 0.0106 0.8070 0.4107
Ca 0.3270 0.6713 0.0143
O 0.3136 0.8247 0.2527
O 0.5479 0.8661 0.4741
Na 0.3451 0.3404 0.2553

***

no.,calculated total energy (eV/f.u.)
1,-238.64
2,-118.40
3,-270.90